Below is crystalline NaSeO3 at its relaxed geometry, with properties calculated at the PBE level.

Lattice parameters (Å, degrees): 11.806 11.806 10.878 89.20 89.20 31.88
Fractional coordinates of all 40 atoms:
O 0.082 0.058 0.025
O 0.112 0.508 0.961
O 0.848 0.558 0.787
O 0.058 0.082 0.525
O 0.442 0.152 0.713
O 0.508 0.112 0.461
O 0.152 0.442 0.213
O 0.105 0.127 0.797
O 0.492 0.888 0.539
O 0.895 0.873 0.203
O 0.130 0.503 0.556
O 0.127 0.105 0.297
O 0.918 0.942 0.975
O 0.503 0.130 0.056
O 0.873 0.895 0.703
O 0.688 0.502 0.898
O 0.942 0.918 0.475
O 0.870 0.497 0.444
O 0.888 0.492 0.039
O 0.312 0.498 0.102
O 0.502 0.688 0.398
O 0.558 0.848 0.287
O 0.497 0.870 0.944
O 0.498 0.312 0.602
Se 0.839 0.036 0.611
Se 0.392 0.268 0.583
Se 0.036 0.839 0.111
Se 0.161 0.964 0.389
Se 0.268 0.392 0.083
Se 0.964 0.161 0.889
Se 0.608 0.732 0.417
Se 0.732 0.608 0.917
Na 0.232 0.217 0.852
Na 0.907 0.359 0.629
Na 0.217 0.232 0.352
Na 0.359 0.907 0.129
Na 0.641 0.093 0.871
Na 0.768 0.783 0.148
Na 0.783 0.768 0.648
Na 0.093 0.641 0.371

Computed properties:
space group: C2/c, No. 15



Below is crystalline NaSrSmSeO6 at its relaxed geometry, with properties calculated at the PBE level.

Lattice parameters (Å, degrees): 5.768 5.768 5.768 60.00 60.00 60.00
Fractional coordinates of all 10 atoms:
O 0.777 0.223 0.223
O 0.777 0.223 0.777
O 0.777 0.777 0.223
O 0.223 0.223 0.777
O 0.223 0.777 0.777
O 0.223 0.777 0.223
Sr 0.750 0.750 0.750
Na 0.250 0.250 0.250
Sm 0.500 0.500 0.500
Se 0.000 0.000 0.000

Computed properties:
space group: F-43m, No. 216



Below is crystalline NaSrTbSeO6 at its relaxed geometry, with properties calculated at the PBE level.

Lattice parameters (Å, degrees): 5.707 5.707 5.707 60.00 60.00 60.00
Fractional coordinates of all 10 atoms:
O 0.774 0.226 0.774
O 0.226 0.774 0.226
O 0.226 0.774 0.774
O 0.774 0.226 0.226
O 0.774 0.774 0.226
O 0.226 0.226 0.774
Na 0.750 0.750 0.750
Tb 0.500 0.500 0.500
Sr 0.250 0.250 0.250
Se 0.000 0.000 0.000

Computed properties:
space group: F-43m, No. 216



Computed uncorrected energy, in the same sequence as the records: -200.85, -60.68, -61.03 eV/cell.